#A
Density functional theory data (GGA-PBE) for a geometry-optimized CePO4 structure.

Cell lengths 6.508, 7.091, 8.262 Å; angles 90.00, 125.89, 90.00 degrees
Space group P2_1/c (No. 14)
Inequivalent atoms, fractional coordinates:
Ce  0.187  0.158  0.287
P  0.306  0.662  0.195
O  0.116  0.670  0.618
O  0.189  0.505  0.250
O  0.335  0.603  0.028
O  0.419  0.212  0.128

- mass density (Mg/m³) = 5.1

***

#B
Density functional theory data (GGA-PBE) for a geometry-optimized CePO4 structure.

Cell lengths 6.405, 7.154, 8.831 Å; angles 90.00, 128.64, 90.00 degrees
Space group P2_1/c (No. 14)
Inequivalent atoms, fractional coordinates:
Ce  0.154  0.197  0.259
P  0.329  0.698  0.220
O  0.144  0.631  0.668
O  0.202  0.534  0.253
O  0.331  0.662  0.048
O  0.377  0.233  0.101

- mass density (Mg/m³) = 4.9

***

The data favor #A; the next most stable structure lies 22 meV per atom above it.

***

#A
Density functional theory data (GGA-PBE) for a geometry-optimized Br structure.

Cell lengths 8.452, 4.259, 8.744 Å; angles 90.00, 90.00, 90.00 degrees
Space group Cmce (No. 64)
Inequivalent atoms, fractional coordinates:
Br  0.000  0.142  0.118

- mass density (Mg/m³) = 3.4

***

#B
Density functional theory data (GGA-PBE) for a geometry-optimized Br structure.

Cell lengths 4.725, 4.725, 4.725 Å; angles 90.00, 90.00, 90.00 degrees
Space group Fm-3m (No. 225)
Inequivalent atoms, fractional coordinates:
Br  0.000  0.000  0.000

- mass density (Mg/m³) = 5.0

***

The data favor #A; the next most stable structure lies 666 meV per atom above it.